The following is a PBE-GGA calculation of SrCaI4 after structural relaxation, from the Materials Project.

Unit cell a=7.408 b=7.901 c=19.983 alpha=90.00 beta=111.01 gamma=90.00
Fractional positions:
1 Sr 0.172 0.249 0.179
2 Sr 0.172 0.251 0.679
3 Sr 0.828 0.749 0.321
4 Sr 0.828 0.751 0.821
5 Ca 0.427 0.246 0.935
6 Ca 0.427 0.254 0.435
7 Ca 0.573 0.746 0.565
8 Ca 0.573 0.754 0.065
9 I 0.057 0.112 0.315
10 I 0.057 0.388 0.815
11 I 0.201 0.580 0.451
12 I 0.201 0.920 0.951
13 I 0.330 0.075 0.560
14 I 0.330 0.425 0.060
15 I 0.470 0.575 0.689
16 I 0.470 0.925 0.189
17 I 0.530 0.075 0.811
18 I 0.530 0.425 0.311
19 I 0.670 0.575 0.940
20 I 0.670 0.925 0.440
21 I 0.799 0.080 0.049
22 I 0.799 0.420 0.549
23 I 0.943 0.612 0.185
24 I 0.943 0.888 0.685

Summary:
space-group type = P2_1/c, No. 14
electronic total energy = -3.2797 eV/atom